Record 1
This record from the Materials Project describes a geometry-optimized AgSbPbS3 structure. The functional is PBE-GGA.

abc: 5.8552 12.1843 8.1980
angles: 90.00 91.81 90.00
Space group P2_1/c (No. 14)
Symmetry-distinct sites (fractional):
Ag (0.2317, 0.0908, 0.1021)
Sb (0.2492, 0.7492, 0.1107)
Pb (0.2676, 0.0797, 0.6395)
S (0.2285, 0.5955, 0.8891)
S (0.2351, 0.5882, 0.4165)
S (0.3190, 0.2263, 0.3561)

Computed properties:
Total magnetic moment, μB/atom: 0.000
Total energy, eV/atom: -4.104
ΔE_f, eV per atom: -0.508
Distance to the lowest polymorph of the same formula, eV/f.u.: 0.19

Record 2
This record from the Materials Project describes a geometry-optimized AgSbPbS3 structure. The functional is PBE-GGA.

abc: 4.0371 5.7386 12.1613
angles: 90.00 90.00 90.00
Space group Imm2 (No. 44)
Symmetry-distinct sites (fractional):
Ag (0.0000, 0.0000, 0.0000)
Sb (0.0000, 0.0000, 0.6679)
Pb (0.0000, 0.0000, 0.3321)
S (0.0000, 0.5000, 0.0162)
S (0.0000, 0.5000, 0.3291)
S (0.0000, 0.5000, 0.6599)

Computed properties:
Total magnetic moment, μB/atom: 0.000
Total energy, eV/atom: -4.091
ΔE_f, eV per atom: -0.495
Distance to the lowest polymorph of the same formula, eV/f.u.: 0.27

Record 3
This record from the Materials Project describes a geometry-optimized AgSbPbS3 structure. The functional is PBE-GGA.

abc: 6.0708 12.9021 7.6979
angles: 90.00 91.02 90.00
Space group P2_1/c (No. 14)
Symmetry-distinct sites (fractional):
Ag (0.2180, 0.2395, 0.3772)
Sb (0.2671, 0.5893, 0.8636)
Pb (0.2557, 0.5846, 0.3532)
S (0.1330, 0.1262, 0.6375)
S (0.2651, 0.0573, 0.1495)
S (0.3513, 0.7215, 0.6384)

Computed properties:
Total magnetic moment, μB/atom: 0.000
Total energy, eV/atom: -4.135
ΔE_f, eV per atom: -0.540
Distance to the lowest polymorph of the same formula, eV/f.u.: 0.00

Record 4
This record from the Materials Project describes a geometry-optimized AgSbTe3Pb structure. The functional is PBE-GGA.

abc: 4.4520 6.3046 13.2620
angles: 90.00 90.00 90.00
Space group Imm2 (No. 44)
Symmetry-distinct sites (fractional):
Ag (0.0000, 0.0000, 0.0000)
Sb (0.0000, 0.0000, 0.6716)
Te (0.0000, 0.5000, 0.0131)
Te (0.0000, 0.5000, 0.3391)
Te (0.0000, 0.5000, 0.6563)
Pb (0.0000, 0.0000, 0.3284)

Computed properties:
Total magnetic moment, μB/atom: 0.000
Total energy, eV/atom: -3.510
ΔE_f, eV per atom: -0.159

Record 5
This record from the Materials Project describes a geometry-optimized SmAgPb structure. The functional is PBE-GGA.

abc: 4.8684 4.8684 7.6255
angles: 90.00 90.00 120.00
Space group P6_3mc (No. 186)
Symmetry-distinct sites (fractional):
Sm (0.0000, 0.0000, 0.0000)
Ag (0.3333, 0.6667, 0.1921)
Pb (0.3333, 0.6667, 0.7794)

Computed properties:
Total energy, eV/atom: -4.201
ΔE_f, eV per atom: -0.446

Record 6
This record from the Materials Project describes a geometry-optimized TmAgPb structure. The functional is PBE-GGA.

abc: 7.4829 7.4829 4.5571
angles: 90.00 90.00 120.00
Space group P-62m (No. 189)
Symmetry-distinct sites (fractional):
Tm (0.0000, 0.4333, 0.0000)
Ag (0.0000, 0.7548, 0.5000)
Pb (0.0000, 0.0000, 0.0000)
Pb (0.3333, 0.6667, 0.5000)

Computed properties:
Total energy, eV/atom: -4.008
ΔE_f, eV per atom: -0.334

Record 7
This record from the Materials Project describes a geometry-optimized Tm3Ag2Pb4 structure. The functional is PBE-GGA.

abc: 8.5719 4.9403 23.4519
angles: 90.00 90.02 90.00
Space group Cm (No. 8)
Symmetry-distinct sites (fractional):
Tm (0.0000, 0.0000, 0.0000)
Tm (0.9998, 0.0000, 0.1352)
Tm (0.9998, 0.0000, 0.3208)
Tm (0.9999, 0.0000, 0.6583)
Tm (0.9996, 0.0000, 0.8119)
Tm (0.4994, 0.5000, 0.4752)
Ag (0.1665, 0.5000, 0.0682)
Ag (0.3333, 0.0000, 0.0677)
Ag (0.3328, 0.0000, 0.3868)
Ag (0.3334, 0.0000, 0.7278)
Pb (0.1661, 0.5000, 0.4002)
Pb (0.1664, 0.5000, 0.8792)
Pb (0.1668, 0.5000, 0.2026)
Pb (0.1665, 0.5000, 0.5448)
Pb (0.1665, 0.5000, 0.7315)
Pb (0.3334, 0.0000, 0.2547)
Pb (0.3333, 0.0000, 0.5932)
Pb (0.3331, 0.0000, 0.9334)

Computed properties:
Total magnetic moment, μB/atom: 0.003
Total energy, eV/atom: -3.896
ΔE_f, eV per atom: -0.125

Record 8
This record from the Materials Project describes a geometry-optimized YAgPb structure. The functional is PBE-GGA.

abc: 7.5818 7.5818 4.5605
angles: 90.00 90.00 120.00
Space group P-62m (No. 189)
Symmetry-distinct sites (fractional):
Y (0.0000, 0.4259, 0.0000)
Ag (0.0000, 0.7525, 0.5000)
Pb (0.0000, 0.0000, 0.0000)
Pb (0.3333, 0.6667, 0.5000)

Computed properties:
Total energy, eV/atom: -4.745
ΔE_f, eV per atom: -0.407

Record 9
This record from the Materials Project describes a geometry-optimized Ag3Pd structure. The functional is PBE-GGA.

abc: 4.1144 4.1144 8.1784
angles: 90.00 90.00 90.00
Space group I4/mmm (No. 139)
Symmetry-distinct sites (fractional):
Ag (0.0000, 0.0000, 0.0000)
Ag (0.0000, 0.5000, 0.2500)
Pd (0.0000, 0.0000, 0.5000)

Computed properties:
Total energy, eV/atom: -3.471
ΔE_f, eV per atom: -0.052

Record 10
This record from the Materials Project describes a geometry-optimized Ag3Pd structure. The functional is PBE-GGA.

abc: 5.7852 5.7852 4.7613
angles: 90.00 90.00 120.00
Space group P6_3/mmc (No. 194)
Symmetry-distinct sites (fractional):
Ag (0.1679, 0.3358, 0.2500)
Pd (0.3333, 0.6667, 0.7500)

Computed properties:
Total energy, eV/atom: -3.469
ΔE_f, eV per atom: -0.049

Record 11
This record from the Materials Project describes a geometry-optimized AgPd3Se structure. The functional is PBE-GGA.

abc: 8.7756 8.7756 8.7756
angles: 90.00 90.00 90.00
Space group Pa-3 (No. 205)
Symmetry-distinct sites (fractional):
Ag (0.0937, 0.0937, 0.0937)
Pd (0.0867, 0.7225, 0.1375)
Se (0.1232, 0.6232, 0.8768)

Computed properties:
Total magnetic moment, μB/atom: 0.005
Total energy, eV/atom: -4.543
ΔE_f, eV per atom: -0.264

Record 12
This record from the Materials Project describes a geometry-optimized SrAg3Pd2 structure. The functional is PBE-GGA.

abc: 5.6063 5.6063 4.6415
angles: 90.00 90.00 120.00
Space group P6/mmm (No. 191)
Symmetry-distinct sites (fractional):
Sr (0.0000, 0.0000, 0.0000)
Ag (0.0000, 0.5000, 0.5000)
Pd (0.3333, 0.6667, 0.0000)

Computed properties:
Total energy, eV/atom: -3.752
ΔE_f, eV per atom: -0.328

Record 13
This record from the Materials Project describes a geometry-optimized Tb2AgPd structure. The functional is PBE-GGA.

abc: 3.5333 3.5333 7.4840
angles: 90.00 90.00 90.00
Space group P4/mmm (No. 123)
Symmetry-distinct sites (fractional):
Tb (0.0000, 0.0000, 0.2356)
Ag (0.5000, 0.5000, 0.5000)
Pd (0.5000, 0.5000, 0.0000)

Computed properties:
Total magnetic moment, μB/atom: 0.000
Total energy, eV/atom: -4.907
ΔE_f, eV per atom: -0.587

Record 14
This record from the Materials Project describes a geometry-optimized Th4AgPd structure. The functional is PBE-GGA.

abc: 7.4546 7.4546 5.9616
angles: 90.00 90.00 90.00
Space group I422 (No. 97)
Symmetry-distinct sites (fractional):
Th (0.1594, 0.3406, 0.2500)
Ag (0.0000, 0.0000, 0.5000)
Pd (0.0000, 0.0000, 0.0000)

Computed properties:
Total magnetic moment, μB/atom: 0.001
Total energy, eV/atom: -6.558
ΔE_f, eV per atom: -0.280

Record 15
This record from the Materials Project describes a geometry-optimized Zr8AgPd3 structure. The functional is PBE-GGA.

abc: 3.3272 3.3272 22.3248
angles: 90.00 90.00 90.00
Space group P4/mmm (No. 123)
Symmetry-distinct sites (fractional):
Zr (0.0000, 0.0000, 0.0783)
Zr (0.0000, 0.0000, 0.4155)
Zr (0.5000, 0.5000, 0.1708)
Zr (0.5000, 0.5000, 0.3250)
Ag (0.5000, 0.5000, 0.5000)
Pd (0.0000, 0.0000, 0.2494)
Pd (0.5000, 0.5000, 0.0000)

Computed properties:
Total energy, eV/atom: -7.619
ΔE_f, eV per atom: -0.390

Record 16
This record from the Materials Project describes a geometry-optimized Pm3Ag structure. The functional is PBE-GGA.

abc: 7.0511 7.0511 5.4491
angles: 90.00 90.00 120.00
Space group P6_3/mmc (No. 194)
Symmetry-distinct sites (fractional):
Pm (0.1742, 0.3484, 0.2500)
Ag (0.3333, 0.6667, 0.7500)

Computed properties:
Total magnetic moment, μB/atom: 0.043
Total energy, eV/atom: -4.253
ΔE_f, eV per atom: 0.018
Distance to the lowest polymorph of the same formula, eV/f.u.: 0.01

Record 17
This record from the Materials Project describes a geometry-optimized PmAg3 structure. The functional is PBE-GGA.

abc: 7.0635 7.0635 7.0635
angles: 90.00 90.00 90.00
Space group Fm-3m (No. 225)
Symmetry-distinct sites (fractional):
Pm (0.0000, 0.0000, 0.0000)
Ag (0.0000, 0.0000, 0.5000)
Ag (0.2500, 0.2500, 0.2500)

Computed properties:
Total energy, eV/atom: -3.515
ΔE_f, eV per atom: -0.203

Record 18
This record from the Materials Project describes a geometry-optimized PmAg3 structure. The functional is PBE-GGA.

abc: 6.5331 6.5331 4.8577
angles: 90.00 90.00 120.00
Space group P6_3/mmc (No. 194)
Symmetry-distinct sites (fractional):
Pm (0.3333, 0.6667, 0.2500)
Ag (0.1520, 0.3040, 0.7500)

Computed properties:
Total energy, eV/atom: -3.513
ΔE_f, eV per atom: -0.201

Record 19
This record from the Materials Project describes a geometry-optimized Pm3Ag structure. The functional is PBE-GGA.

abc: 4.7719 4.7719 10.3076
angles: 90.00 90.00 90.00
Space group I4/mmm (No. 139)
Symmetry-distinct sites (fractional):
Pm (0.0000, 0.0000, 0.0000)
Pm (0.0000, 0.5000, 0.2500)
Ag (0.0000, 0.0000, 0.5000)

Computed properties:
Total magnetic moment, μB/atom: 0.036
Total energy, eV/atom: -4.257
ΔE_f, eV per atom: 0.014
Distance to the lowest polymorph of the same formula, eV/f.u.: 0.00

Record 20
This record from the Materials Project describes a geometry-optimized PmAg2Sn structure. The functional is PBE-GGA.

abc: 7.1355 7.1355 7.1355
angles: 90.00 90.00 90.00
Space group Fm-3m (No. 225)
Symmetry-distinct sites (fractional):
Pm (0.0000, 0.0000, 0.0000)
Ag (0.2500, 0.2500, 0.2500)
Sn (0.0000, 0.0000, 0.5000)

Computed properties:
Total energy, eV/atom: -4.003
ΔE_f, eV per atom: -0.397